Record 1
DFT (GGA+U) results for an optimized crystal structure of RbMgInMo2O8.

Results
space group	P3m1
formation energy	-42.60	kcal/mol of atoms
MP2020-corrected energy	-0.51236	Ry per atom
crystal system	trigonal
energy	-6.06	eV/atom
total magnetic moment	2.00	μB per formula unit
energy above the lowest structure with this stoichiometry	3	meV/atom

Cell lengths 5.933, 5.933, 10.407 Å; angles 90.00, 90.00, 120.00 degrees
Element x y z (fractional)
Rb: 0.000 0.000 0.000
Mg: 0.000 0.000 0.366
In: 0.000 0.000 0.628
Mo: 0.333 0.667 0.812
Mo: 0.667 0.333 0.426
O: 0.165 0.330 0.761
O: 0.165 0.835 0.761
O: 0.307 0.154 0.482
O: 0.333 0.667 0.981
O: 0.667 0.333 0.253
O: 0.670 0.835 0.761
O: 0.846 0.154 0.482
O: 0.846 0.693 0.482

Record 2
DFT (GGA+U) results for an optimized crystal structure of SrMgInWO6.

Results
space group	F-43m
formation energy	-56.10	kcal/mol of atoms
MP2020-corrected energy	-0.53663	Ry per atom
crystal system	cubic
energy	-6.45	eV/atom
total magnetic moment	0.00	μB per formula unit

Cell lengths 5.659, 5.659, 5.659 Å; angles 60.00, 60.00, 60.00 degrees
Element x y z (fractional)
Sr: 0.000 0.000 0.000
Mg: 0.250 0.250 0.250
In: 0.500 0.500 0.500
W: 0.750 0.750 0.750
O: 0.507 0.507 0.993
O: 0.507 0.993 0.507
O: 0.507 0.993 0.993
O: 0.993 0.507 0.507
O: 0.993 0.507 0.993
O: 0.993 0.993 0.507

Record 3
DFT (GGA+U) results for an optimized crystal structure of MgIn6WO12.

Results
space group	R-3
formation energy	-47.01	kcal/mol of atoms
MP2020-corrected energy	-0.48220	Ry per atom
crystal system	trigonal
energy	-5.93	eV/atom
total magnetic moment	1.85	μB per formula unit
energy above the lowest structure with this stoichiometry	0	meV/atom

Cell lengths 6.423, 6.423, 6.423 Å; angles 91.54, 91.54, 91.54 degrees
Element x y z (fractional)
Mg: 0.000 0.000 0.000
In: 0.055 0.574 0.760
In: 0.240 0.945 0.426
In: 0.426 0.240 0.945
In: 0.574 0.760 0.055
In: 0.760 0.055 0.574
In: 0.945 0.426 0.240
W: 0.500 0.500 0.500
O: 0.046 0.901 0.690
O: 0.099 0.309 0.954
O: 0.197 0.578 0.430
O: 0.310 0.954 0.099
O: 0.422 0.570 0.803
O: 0.430 0.197 0.578
O: 0.570 0.803 0.422
O: 0.578 0.430 0.197
O: 0.690 0.046 0.901
O: 0.803 0.422 0.570
O: 0.901 0.690 0.046
O: 0.954 0.099 0.309

Record 4
DFT (GGA+U) results for an optimized crystal structure of MgIn6WO12.

Results
space group	R3
formation energy	-46.48	kcal/mol of atoms
MP2020-corrected energy	-0.48053	Ry per atom
crystal system	trigonal
energy	-5.90	eV/atom
total magnetic moment	1.01	μB per formula unit
energy above the lowest structure with this stoichiometry	23	meV/atom

Cell lengths 6.459, 6.459, 6.459 Å; angles 92.01, 92.01, 92.01 degrees
Element x y z (fractional)
Mg: 0.000 0.000 0.000
In: 0.180 0.673 0.489
In: 0.181 0.449 0.953
In: 0.449 0.953 0.181
In: 0.489 0.180 0.673
In: 0.673 0.489 0.180
In: 0.953 0.181 0.449
W: 0.731 0.731 0.731
O: 0.045 0.720 0.815
O: 0.129 0.945 0.306
O: 0.202 0.362 0.609
O: 0.306 0.129 0.945
O: 0.362 0.609 0.202
O: 0.469 0.832 0.611
O: 0.609 0.202 0.362
O: 0.611 0.469 0.832
O: 0.720 0.815 0.045
O: 0.815 0.045 0.720
O: 0.832 0.611 0.469
O: 0.945 0.306 0.129

Record 5
DFT (GGA+U) results for an optimized crystal structure of Na2MnInSi2O9.

Results
space group	Cmc2_1
formation energy	-52.44	kcal/mol of atoms
MP2020-corrected energy	-0.50983	Ry per atom
crystal system	orthorhombic
energy	-6.41	eV/atom
total magnetic moment	2.00	μB per formula unit

Cell lengths 8.960, 8.960, 7.299 Å; angles 90.00, 90.00, 48.95 degrees
Element x y z (fractional)
Na: 0.193 0.254 0.000
Na: 0.254 0.193 0.500
Na: 0.746 0.807 0.000
Na: 0.807 0.746 0.500
Mn: 0.351 0.649 0.595
Mn: 0.649 0.351 0.095
In: 0.030 0.970 0.997
In: 0.970 0.030 0.497
Si: 0.182 0.572 0.242
Si: 0.428 0.818 0.242
Si: 0.572 0.182 0.742
Si: 0.818 0.428 0.742
O: 0.038 0.742 0.088
O: 0.130 0.433 0.276
O: 0.148 0.695 0.434
O: 0.150 0.850 0.735
O: 0.258 0.962 0.088
O: 0.305 0.852 0.434
O: 0.413 0.429 0.168
O: 0.429 0.413 0.668
O: 0.433 0.130 0.776
O: 0.567 0.870 0.276
O: 0.571 0.587 0.168
O: 0.587 0.571 0.668
O: 0.695 0.148 0.934
O: 0.742 0.038 0.588
O: 0.850 0.150 0.235
O: 0.852 0.305 0.934
O: 0.870 0.567 0.776
O: 0.962 0.258 0.588

Record 6
DFT (GGA+U) results for an optimized crystal structure of Mn11In25O48.

Results
space group	Cm
formation energy	-45.89	kcal/mol of atoms
MP2020-corrected energy	-0.50245	Ry per atom
crystal system	monoclinic
energy	-6.23	eV/atom
total magnetic moment	55.10	μB per formula unit

Cell lengths 11.265, 11.265, 11.267 Å; angles 99.60, 99.60, 119.99 degrees
Element x y z (fractional)
Mn: 0.000 0.000 0.000
Mn: 0.042 0.708 0.125
Mn: 0.167 0.833 0.499
Mn: 0.208 0.541 0.624
Mn: 0.333 0.667 0.000
Mn: 0.375 0.375 0.125
Mn: 0.500 0.500 0.499
Mn: 0.541 0.208 0.624
Mn: 0.667 0.333 0.000
Mn: 0.708 0.042 0.125
Mn: 0.833 0.167 0.499
In: 0.021 0.354 0.063
In: 0.104 0.271 0.312
In: 0.105 0.274 0.814
In: 0.107 0.771 0.814
In: 0.189 0.189 0.561
In: 0.270 0.604 0.312
In: 0.271 0.104 0.312
In: 0.274 0.105 0.814
In: 0.354 0.021 0.063
In: 0.437 0.437 0.812
In: 0.437 0.938 0.312
In: 0.438 0.937 0.812
In: 0.518 0.854 0.561
In: 0.601 0.770 0.310
In: 0.602 0.769 0.814
In: 0.604 0.270 0.312
In: 0.687 0.687 0.062
In: 0.769 0.602 0.814
In: 0.770 0.601 0.310
In: 0.771 0.107 0.814
In: 0.854 0.518 0.561
In: 0.875 0.875 0.625
In: 0.937 0.438 0.812
In: 0.938 0.437 0.312
In: 0.939 0.939 0.310
O: 0.052 0.564 0.691
O: 0.064 0.552 0.192
O: 0.068 0.068 0.200
O: 0.075 0.075 0.691
O: 0.132 0.467 0.933
O: 0.141 0.475 0.424
O: 0.144 0.989 0.433
O: 0.156 0.977 0.932
O: 0.219 0.397 0.191
O: 0.230 0.385 0.692
O: 0.233 0.900 0.701
O: 0.242 0.909 0.191
O: 0.299 0.299 0.432
O: 0.307 0.307 0.923
O: 0.312 0.823 0.933
O: 0.322 0.811 0.432
O: 0.385 0.230 0.692
O: 0.397 0.219 0.191
O: 0.399 0.733 0.200
O: 0.410 0.743 0.691
O: 0.467 0.132 0.933
O: 0.475 0.141 0.424
O: 0.478 0.657 0.433
O: 0.489 0.643 0.933
O: 0.552 0.064 0.192
O: 0.564 0.052 0.691
O: 0.568 0.568 0.701
O: 0.576 0.576 0.192
O: 0.633 0.965 0.433
O: 0.642 0.974 0.923
O: 0.643 0.489 0.933
O: 0.657 0.478 0.433
O: 0.719 0.897 0.691
O: 0.731 0.885 0.192
O: 0.733 0.399 0.200
O: 0.743 0.410 0.691
O: 0.799 0.799 0.932
O: 0.808 0.808 0.424
O: 0.811 0.322 0.432
O: 0.823 0.312 0.933
O: 0.885 0.731 0.192
O: 0.897 0.719 0.691
O: 0.900 0.233 0.701
O: 0.909 0.242 0.191
O: 0.965 0.633 0.433
O: 0.974 0.642 0.923
O: 0.977 0.156 0.932
O: 0.989 0.144 0.433

Record 7
DFT (GGA+U) results for an optimized crystal structure of MnIn2O4.

Results
space group	Fd-3m
formation energy	-46.10	kcal/mol of atoms
MP2020-corrected energy	-0.50872	Ry per atom
crystal system	cubic
energy	-6.29	eV/atom

Cell lengths 6.489, 6.489, 6.489 Å; angles 60.00, 60.00, 60.00 degrees
Element x y z (fractional)
Mn: 0.125 0.125 0.125
Mn: 0.875 0.875 0.875
In: 0.000 0.500 0.500
In: 0.500 0.000 0.500
In: 0.500 0.500 0.000
In: 0.500 0.500 0.500
O: 0.259 0.259 0.259
O: 0.259 0.259 0.724
O: 0.259 0.724 0.259
O: 0.276 0.741 0.741
O: 0.724 0.259 0.259
O: 0.741 0.276 0.741
O: 0.741 0.741 0.276
O: 0.741 0.741 0.741

Record 8
DFT (GGA+U) results for an optimized crystal structure of Mn2In2O7.

Results
space group	Fd-3m
formation energy	-43.85	kcal/mol of atoms
MP2020-corrected energy	-0.53041	Ry per atom
crystal system	cubic
energy	-6.48	eV/atom

Cell lengths 6.988, 6.988, 6.988 Å; angles 60.00, 60.00, 60.00 degrees
Element x y z (fractional)
Mn: 0.000 0.000 0.000
Mn: 0.000 0.000 0.500
Mn: 0.000 0.500 0.000
Mn: 0.500 0.000 0.000
In: 0.000 0.500 0.500
In: 0.500 0.000 0.500
In: 0.500 0.500 0.000
In: 0.500 0.500 0.500
O: 0.082 0.082 0.668
O: 0.082 0.668 0.082
O: 0.082 0.668 0.668
O: 0.332 0.332 0.918
O: 0.332 0.918 0.332
O: 0.332 0.918 0.918
O: 0.375 0.375 0.375
O: 0.625 0.625 0.625
O: 0.668 0.082 0.082
O: 0.668 0.082 0.668
O: 0.668 0.668 0.082
O: 0.918 0.332 0.332
O: 0.918 0.332 0.918
O: 0.918 0.918 0.332

Record 9
DFT (GGA+U) results for an optimized crystal structure of Mn2InSbO6.

Results
space group	P1
formation energy	-46.67	kcal/mol of atoms
MP2020-corrected energy	-0.55221	Ry per atom
crystal system	triclinic
energy	-6.77	eV/atom
total magnetic moment	10.00	μB per formula unit

Cell lengths 6.360, 6.382, 6.388 Å; angles 90.95, 90.96, 90.75 degrees
Element x y z (fractional)
Mn: 0.000 0.000 0.000
Mn: 0.123 0.104 0.497
Mn: 0.505 0.297 0.186
Mn: 0.815 0.481 0.695
In: 0.309 0.615 0.805
In: 0.623 0.800 0.314
Sb: 0.060 0.547 0.249
Sb: 0.563 0.052 0.749
O: 0.136 0.472 0.548
O: 0.140 0.252 0.180
O: 0.264 0.957 0.793
O: 0.363 0.625 0.168
O: 0.475 0.087 0.447
O: 0.517 0.352 0.841
O: 0.604 0.746 0.660
O: 0.652 0.006 0.049
O: 0.759 0.481 0.324
O: 0.862 0.138 0.706
O: 0.980 0.846 0.321
O: 0.995 0.624 0.949

Record 10
DFT (GGA+U) results for an optimized crystal structure of SrMnInWO6.

Results
space group	F-43m
formation energy	-50.62	kcal/mol of atoms
MP2020-corrected energy	-0.57477	Ry per atom
crystal system	cubic
energy	-6.80	eV/atom
total magnetic moment	4.45	μB per formula unit

Cell lengths 5.744, 5.744, 5.744 Å; angles 60.00, 60.00, 60.00 degrees
Element x y z (fractional)
Sr: 0.000 0.000 0.000
Mn: 0.750 0.750 0.750
In: 0.500 0.500 0.500
W: 0.250 0.250 0.250
O: 0.010 0.010 0.490
O: 0.010 0.490 0.010
O: 0.010 0.490 0.490
O: 0.490 0.010 0.010
O: 0.490 0.010 0.490
O: 0.490 0.490 0.010

Record 11
DFT (GGA+U) results for an optimized crystal structure of Na2In2Mo5O16.

Results
space group	P3m1
formation energy	-46.10	kcal/mol of atoms
MP2020-corrected energy	-0.56305	Ry per atom
crystal system	trigonal
energy	-6.58	eV/atom
total magnetic moment	6.00	μB per formula unit

Cell lengths 6.180, 6.180, 10.816 Å; angles 90.00, 90.00, 120.00 degrees
Element x y z (fractional)
Na: 0.000 0.000 0.000
Na: 0.333 0.667 0.233
In: 0.333 0.667 0.522
In: 0.333 0.667 0.930
Mo: 0.000 0.000 0.367
Mo: 0.334 0.167 0.726
Mo: 0.667 0.333 0.099
Mo: 0.833 0.167 0.726
Mo: 0.833 0.666 0.726
O: 0.000 0.000 0.205
O: 0.000 0.000 0.622
O: 0.002 0.501 0.059
O: 0.155 0.309 0.833
O: 0.155 0.845 0.833
O: 0.167 0.334 0.402
O: 0.167 0.833 0.402
O: 0.499 0.501 0.059
O: 0.499 0.998 0.059
O: 0.505 0.010 0.632
O: 0.505 0.495 0.632
O: 0.666 0.833 0.402
O: 0.667 0.333 0.258
O: 0.667 0.333 0.830
O: 0.691 0.845 0.833
O: 0.990 0.495 0.632